(1)
H10PtC2N2Cl2 PBE optimized geometry; DFT formation energy = -0.394 eV per atom; corrected total energy (MP2020 scheme) = -342.10 eV for the cell shown; magnetic moment = 0.02 μB/f.u.
1.0
6.485 0.000 0.000
0.000 16.675 0.000
-5.129 0.000 7.647
H Pt C N Cl
40 4 8 8 8
direct
0.025 0.227 0.106
0.025 0.273 0.606
0.126 0.158 0.489
0.126 0.342 0.989
0.146 0.603 0.534
0.146 0.897 0.034
0.154 0.607 0.359
0.154 0.893 0.859
0.247 0.748 0.395
0.247 0.752 0.895
0.264 0.026 0.607
0.264 0.474 0.107
0.269 0.745 0.596
0.269 0.755 0.096
0.317 0.116 0.424
0.317 0.384 0.924
0.440 0.189 0.595
0.440 0.311 0.095
0.443 0.550 0.799
0.443 0.950 0.299
0.557 0.050 0.701
0.557 0.450 0.201
0.560 0.689 0.905
0.560 0.811 0.405
0.683 0.616 0.076
0.683 0.884 0.576
0.731 0.245 0.904
0.731 0.255 0.404
0.736 0.526 0.893
0.736 0.974 0.393
0.753 0.248 0.105
0.753 0.252 0.605
0.846 0.107 0.141
0.846 0.393 0.641
0.854 0.103 0.966
0.854 0.397 0.466
0.874 0.658 0.011
0.874 0.842 0.511
0.975 0.727 0.394
0.975 0.773 0.894
0.398 0.099 0.889
0.398 0.401 0.389
0.602 0.599 0.611
0.602 0.901 0.111
0.177 0.718 0.466
0.177 0.782 0.966
0.313 0.138 0.535
0.313 0.362 0.035
0.687 0.638 0.965
0.687 0.862 0.465
0.823 0.218 0.034
0.823 0.282 0.534
0.233 0.631 0.482
0.233 0.869 0.982
0.387 0.072 0.665
0.387 0.428 0.165
0.613 0.572 0.835
0.613 0.928 0.335
0.767 0.131 0.018
0.767 0.369 0.518
0.017 0.559 0.763
0.017 0.941 0.263
0.428 0.125 0.148
0.428 0.375 0.648
0.572 0.625 0.352
0.572 0.875 0.852
0.983 0.059 0.737
0.983 0.441 0.237



(2)
TaTlP2O8 PBE optimized geometry; DFT formation energy = -2.760 eV per atom; corrected total energy (MP2020 scheme) = -97.75 eV for the cell shown; magnetic moment = 0.00 μB/f.u.
1.0
5.249 0.000 0.000
-2.625 4.546 0.000
0.000 0.000 8.209
Ta Tl P O
1 1 2 8
direct
0.000 0.000 0.000
0.000 0.000 0.500
0.333 0.667 0.217
0.667 0.333 0.783
0.174 0.350 0.142
0.176 0.826 0.142
0.333 0.667 0.399
0.350 0.174 0.858
0.650 0.824 0.142
0.667 0.333 0.601
0.824 0.650 0.858
0.826 0.176 0.858



(3)
Mg2Si PBE optimized geometry; DFT formation energy = 0.060 eV per atom; corrected total energy (MP2020 scheme) = -33.78 eV for the cell shown; magnetic moment = 0.00 μB/f.u.
1.0
5.112 0.000 0.000
-0.611 6.082 0.000
-1.273 -2.307 7.542
Mg Si
8 4
direct
0.000 0.000 0.000
0.000 0.500 0.000
0.069 0.159 0.674
0.451 0.754 0.513
0.485 0.649 0.850
0.515 0.351 0.150
0.549 0.246 0.487
0.931 0.841 0.326
0.046 0.346 0.367
0.409 0.836 0.190
0.591 0.164 0.810
0.954 0.654 0.633



(4)
Dy2TeO6 PBE optimized geometry; DFT formation energy = -3.019 eV per atom; corrected total energy (MP2020 scheme) = -207.65 eV for the cell shown; offset from the most stable computed form = 6.9 meV/atom
1.0
9.182 0.000 0.000
-4.591 7.952 0.000
0.000 0.000 5.216
Dy Te O
6 3 18
direct
0.000 0.283 0.000
0.000 0.621 0.500
0.283 0.000 0.000
0.379 0.379 0.500
0.621 0.000 0.500
0.717 0.717 0.000
0.000 0.000 0.500
0.333 0.667 0.004
0.667 0.333 0.996
0.079 0.879 0.289
0.121 0.200 0.289
0.133 0.543 0.218
0.200 0.121 0.711
0.223 0.759 0.790
0.241 0.464 0.790
0.410 0.867 0.218
0.457 0.590 0.218
0.464 0.241 0.210
0.536 0.777 0.790
0.543 0.133 0.782
0.590 0.457 0.782
0.759 0.223 0.210
0.777 0.536 0.210
0.800 0.921 0.289
0.867 0.410 0.782
0.879 0.079 0.711
0.921 0.800 0.711



(5)
TbB2Ir3 PBE optimized geometry; DFT formation energy = -0.692 eV per atom
1.0
5.475 0.000 0.000
-2.737 4.741 0.000
0.000 0.000 3.160
Tb B Ir
1 2 3
direct
0.000 0.000 0.000
0.333 0.667 0.000
0.667 0.333 0.000
0.000 0.500 0.500
0.500 0.000 0.500
0.500 0.500 0.500



(6)
LiRuN2 PBE optimized geometry; DFT formation energy = -0.154 eV per atom; corrected total energy (MP2020 scheme) = -113.88 eV for the cell shown; magnetic moment = 0.00 μB/f.u.; offset from the most stable computed form = 14.4 meV/atom
1.0
5.626 0.000 0.000
0.000 6.618 0.000
0.000 0.000 5.333
Li Ru N
4 4 8
direct
0.081 0.123 0.000
0.419 0.623 0.500
0.581 0.377 0.000
0.919 0.877 0.500
0.074 0.627 0.005
0.426 0.127 0.505
0.574 0.873 0.005
0.926 0.373 0.505
0.061 0.604 0.357
0.105 0.144 0.404
0.395 0.644 0.904
0.439 0.104 0.857
0.561 0.896 0.357
0.605 0.356 0.404
0.895 0.856 0.904
0.939 0.396 0.857



(7)
Mn2InN2 PBE optimized geometry; DFT formation energy = -0.208 eV per atom; corrected total energy (MP2020 scheme) = -38.79 eV for the cell shown; magnetic moment = 2.83 μB/f.u.
1.0
2.777 -1.613 0.000
2.777 1.613 0.000
-0.023 0.000 7.406
Mn In N
2 1 2
direct
0.166 0.166 0.386
0.834 0.834 0.614
0.500 0.500 0.000
0.168 0.168 0.652
0.832 0.832 0.348



(8)
NaZnO3 PBE optimized geometry; DFT formation energy = -0.853 eV per atom; corrected total energy (MP2020 scheme) = -21.69 eV for the cell shown; magnetic moment = 0.01 μB/f.u.
1.0
3.907 0.000 0.000
0.000 3.907 0.000
0.000 0.000 3.907
Na Zn O
1 1 3
direct
0.000 0.000 0.000
0.500 0.500 0.500
0.000 0.500 0.500
0.500 0.000 0.500
0.500 0.500 0.000



(9)
La2MgTiZnO6 PBE optimized geometry; DFT formation energy = -2.847 eV per atom; corrected total energy (MP2020 scheme) = -81.63 eV for the cell shown; magnetic moment = 0.00 μB/f.u.; offset from the most stable computed form = 202.8 meV/atom
1.0
2.940 1.698 5.547
-2.940 1.698 5.547
0.000 -3.395 5.547
La Mg Ti Zn O
2 1 1 1 6
direct
0.000 0.000 0.000
0.403 0.403 0.403
0.633 0.633 0.633
0.804 0.804 0.804
0.212 0.212 0.212
0.075 0.850 0.448
0.332 0.562 0.991
0.448 0.075 0.850
0.562 0.991 0.332
0.850 0.448 0.075
0.991 0.332 0.562



(10)
Rb2NbCl6 PBE optimized geometry; DFT formation energy = -2.021 eV per atom; corrected total energy (MP2020 scheme) = -41.34 eV for the cell shown
1.0
0.000 5.200 5.200
5.200 0.000 5.200
5.200 5.200 0.000
Rb Nb Cl
2 1 6
direct
0.250 0.250 0.250
0.750 0.750 0.750
0.000 0.000 0.000
0.234 0.234 0.766
0.234 0.766 0.234
0.234 0.766 0.766
0.766 0.234 0.234
0.766 0.234 0.766
0.766 0.766 0.234



(11)
Cr2S3 PBE optimized geometry; DFT formation energy = -0.694 eV per atom; corrected total energy (MP2020 scheme) = -70.37 eV for the cell shown; magnetic moment = 0.01 μB/f.u.
1.0
2.955 1.706 5.554
-2.955 1.706 5.554
0.000 -3.412 5.554
Cr S
4 6
direct
0.000 0.000 0.000
0.166 0.166 0.166
0.343 0.343 0.343
0.669 0.669 0.669
0.076 0.760 0.418
0.258 0.580 0.928
0.418 0.076 0.760
0.580 0.928 0.258
0.760 0.418 0.076
0.928 0.258 0.580



(12)
Nd2MgPtO6 PBE optimized geometry; DFT formation energy = -2.862 eV per atom; corrected total energy (MP2020 scheme) = -151.03 eV for the cell shown; magnetic moment = 0.00 μB/f.u.
1.0
5.511 0.000 0.000
0.000 5.764 0.000
-5.474 0.000 7.895
Nd Mg Pt O
4 2 2 12
direct
0.234 0.062 0.250
0.234 0.438 0.750
0.766 0.562 0.250
0.766 0.938 0.750
0.500 0.000 0.000
0.500 0.500 0.500
0.000 0.000 0.500
0.000 0.500 0.000
0.142 0.205 0.947
0.142 0.295 0.447
0.248 0.701 0.948
0.248 0.799 0.448
0.349 0.032 0.748
0.349 0.468 0.248
0.651 0.532 0.752
0.651 0.968 0.252
0.752 0.201 0.552
0.752 0.299 0.052
0.858 0.705 0.553
0.858 0.795 0.053



(13)
Nb6AlSn PBE optimized geometry; DFT formation energy = -0.159 eV per atom; magnetic moment = 0.09 μB/f.u.
1.0
5.272 0.000 0.000
0.000 5.272 0.000
0.000 0.000 5.272
Nb Al Sn
6 1 1
direct
0.000 0.241 0.500
0.000 0.759 0.500
0.241 0.500 0.000
0.500 0.000 0.241
0.500 0.000 0.759
0.759 0.500 0.000
0.000 0.000 0.000
0.500 0.500 0.500



(14)
Mn6GaGe PBE optimized geometry; DFT formation energy = -0.012 eV per atom; magnetic moment = 9.18 μB/f.u.
1.0
5.169 0.000 0.000
-2.585 4.477 0.000
0.000 0.000 4.174
Mn Ga Ge
6 1 1
direct
0.010 0.505 0.000
0.174 0.348 0.500
0.174 0.826 0.500
0.495 0.505 0.000
0.495 0.990 0.000
0.652 0.826 0.500
0.667 0.333 0.500
0.000 0.000 0.000



(15)
Er6Ni20P13 PBE optimized geometry; DFT formation energy = -0.917 eV per atom
1.0
12.637 0.000 0.000
-6.318 10.944 0.000
0.000 0.000 3.729
Er Ni P
6 20 13
direct
0.051 0.196 0.000
0.144 0.949 0.000
0.524 0.386 0.500
0.614 0.138 0.500
0.804 0.856 0.000
0.862 0.476 0.500
0.000 0.000 0.500
0.014 0.417 0.000
0.090 0.744 0.500
0.137 0.574 0.500
0.251 0.508 0.000
0.256 0.346 0.500
0.256 0.749 0.000
0.313 0.233 0.000
0.353 0.105 0.500
0.403 0.986 0.000
0.426 0.563 0.500
0.437 0.863 0.500
0.492 0.744 0.000
0.583 0.597 0.000
0.654 0.910 0.500
0.667 0.333 0.000
0.751 0.647 0.500
0.767 0.080 0.000
0.895 0.249 0.500
0.920 0.687 0.000
0.051 0.616 0.000
0.099 0.382 0.500
0.195 0.143 0.500
0.283 0.901 0.500
0.333 0.667 0.500
0.384 0.435 0.000
0.471 0.192 0.000
0.565 0.949 0.000
0.618 0.717 0.500
0.721 0.529 0.000
0.808 0.279 0.000
0.857 0.052 0.500
0.948 0.805 0.500



(16)
GdTmRh2 PBE optimized geometry; DFT formation energy = 0.423 eV per atom; magnetic moment = 1.10 μB/f.u.
1.0
0.000 3.425 3.425
3.425 0.000 3.425
3.425 3.425 0.000
Gd Tm Rh
1 1 2
direct
0.000 0.000 0.000
0.500 0.500 0.500
0.250 0.250 0.250
0.750 0.750 0.750



(17)
BaUO4 PBE optimized geometry; DFT formation energy = -3.668 eV per atom; corrected total energy (MP2020 scheme) = -220.04 eV for the cell shown
1.0
5.884 0.000 0.000
0.000 8.214 0.000
0.000 0.000 8.295
Ba U O
4 4 16
direct
0.017 0.194 0.250
0.017 0.306 0.750
0.983 0.694 0.250
0.983 0.806 0.750
0.500 0.000 0.000
0.500 0.000 0.500
0.500 0.500 0.000
0.500 0.500 0.500
0.205 0.575 0.569
0.205 0.575 0.931
0.205 0.925 0.069
0.205 0.925 0.431
0.355 0.250 0.000
0.355 0.250 0.500
0.384 0.527 0.250
0.384 0.973 0.750
0.616 0.027 0.250
0.616 0.473 0.750
0.645 0.750 0.000
0.645 0.750 0.500
0.795 0.075 0.569
0.795 0.075 0.931
0.795 0.425 0.069
0.795 0.425 0.431